1.
The following is a DFT calculation (GGA-PBE) of Ba2LiB5O10 after structural relaxation.

Structure (CIF):
```
data_Ba2LiB5O10
_symmetry_space_group_name_H-M 'P 1 21/m 1'
_symmetry_Int_Tables_number 11
_cell_length_a 4.4678
_cell_length_b 14.8743
_cell_length_c 6.7767
_cell_angle_alpha 90.00
_cell_angle_beta 104.22
_cell_angle_gamma 90.00
loop_
_symmetry_equiv_pos_as_xyz
'x,y,z'
'-x,-y,-z'
'-x,y+1/2,-z'
'x,-y+1/2,z'
loop_
_atom_site_label
_atom_site_fract_x
_atom_site_fract_y
_atom_site_fract_z
_atom_site_occupancy
Ba1 0.1661 0.0870 0.3018 1
Li1 0.4910 0.7500 0.9790 1
B1 0.0621 0.6646 0.1802 1
B2 0.2716 0.7500 0.5051 1
B3 0.4496 0.0808 0.8197 1
O1 0.1226 0.7500 0.0875 1
O2 0.1682 0.6688 0.4065 1
O3 0.2253 0.5891 0.1063 1
O4 0.2763 0.1456 0.8912 1
O5 0.3300 0.0138 0.6910 1
O6 0.4608 0.7500 0.6939 1
```

Results
- Final energy: -7.574 eV/atom
- Formation energy from the elements: -3.032 eV per atom
- Magnetization: 0.00 μB per atom

---

2.
The following is a DFT calculation (GGA-PBE) of U2H18C4Se3N2O17 after structural relaxation.

Structure (CIF):
```
data_U2H18C4Se3N2O17
_symmetry_space_group_name_H-M 'P 21 21 21'
_symmetry_Int_Tables_number 19
_cell_length_a 11.4094
_cell_length_b 11.4519
_cell_length_c 17.2866
_cell_angle_alpha 90.00
_cell_angle_beta 90.00
_cell_angle_gamma 90.00
loop_
_symmetry_equiv_pos_as_xyz
'x,y,z'
'-x+1/2,-y,z+1/2'
'x+1/2,-y+1/2,-z'
'-x,y+1/2,-z+1/2'
loop_
_atom_site_label
_atom_site_fract_x
_atom_site_fract_y
_atom_site_fract_z
_atom_site_occupancy
U1 0.1066 0.1275 0.0097 1
U2 0.1783 0.6633 0.9583 1
H1 0.0173 0.2924 0.6940 1
H2 0.0174 0.8886 0.2774 1
H3 0.0213 0.3995 0.7697 1
H4 0.0366 0.4851 0.1482 1
H5 0.0379 0.1405 0.2928 1
H6 0.0440 0.0567 0.2137 1
H7 0.0472 0.3675 0.9402 1
H8 0.0782 0.8152 0.5458 1
H9 0.0951 0.2629 0.7815 1
H10 0.1036 0.5288 0.6500 1
H11 0.1113 0.9346 0.3538 1
H12 0.1487 0.5530 0.7485 1
H13 0.1998 0.3420 0.6545 1
H14 0.2245 0.1595 0.2320 1
H15 0.2399 0.0886 0.3242 1
H16 0.2438 0.0041 0.2363 1
H17 0.2440 0.4566 0.1729 1
H18 0.2491 0.3670 0.7443 1
C1 0.0388 0.9610 0.3162 1
C2 0.0704 0.3307 0.7400 1
C3 0.1712 0.5113 0.6934 1
C4 0.2058 0.0803 0.2653 1
Se1 0.0055 0.8464 0.0976 1
Se2 0.1459 0.0846 0.5428 1
Se3 0.2023 0.6399 0.4100 1
N1 0.0761 0.0651 0.2695 1
N2 0.1794 0.3828 0.7064 1
O1 0.0024 0.2935 0.9413 1
O2 0.0042 0.0595 0.5203 1
O3 0.0410 0.7956 0.0095 1
O4 0.0446 0.7588 0.1687 1
O5 0.0716 0.9780 0.1074 1
O6 0.0861 0.0300 0.9290 1
O7 0.1007 0.6139 0.4780 1
O8 0.1252 0.2264 0.0903 1
O9 0.1290 0.7056 0.8631 1
O10 0.1389 0.3721 0.3977 1
O11 0.1481 0.6393 0.3214 1
O12 0.1643 0.1453 0.6276 1
O13 0.1865 0.4559 0.9199 1
O14 0.2052 0.9483 0.5397 1
O15 0.2079 0.1611 0.4698 1
O16 0.2285 0.6210 0.0536 1
O17 0.2392 0.2280 0.9284 1
```

Results
- Final energy: -5.972 eV/atom
- Formation energy from the elements: -1.186 eV per atom
- Magnetization: 0.00 μB per atom